1.
First-principles (r2SCAN) data for an optimized crystal structure of NiSb2O4, as listed in Materials Project.

Computed properties:
Volume in Å³/f.u.: 104.3
ΔE_f in eV per atom: -1.393
Total DFT energy (no corrections) in eV per cell: -388.1

Lattice parameters (Å, degrees): 8.3836 8.3836 5.9360 90.00 90.00 90.00
Last column: nearest neighbours and their distance in Å.
Space group P4_2/mbc (No. 135)
Asymmetric unit:
Ni 0.0000 0.5000 0.2500 [4 per cell]  6 O 2.06-2.08
Sb 0.1642 0.1707 0.0000 [8 per cell]  3 O 1.95-2.00
O 0.0978 0.3614 0.5000 [8 per cell]  1 Sb 1.95, 2 Ni 2.06
O 0.1755 0.6755 0.2500 [8 per cell]  2 Sb 2.00, 1 Ni 2.08

2.
First-principles (r2SCAN) data for an optimized crystal structure of La2HfS5, as listed in Materials Project.

Computed properties:
Volume in Å³/f.u.: 174.9
ΔE_f in eV per atom: -2.275
Total DFT energy (no corrections) in eV per cell: -652.1

Lattice parameters (Å, degrees): 11.4875 8.2203 7.4099 90.00 90.00 90.00
Last column: nearest neighbours and their distance in Å.
Space group Pnma (No. 62)
Asymmetric unit:
La 0.1703 0.0020 0.0623 [8 per cell]  8 S 2.89-3.11
Hf 0.0090 0.2500 0.5701 [4 per cell]  7 S 2.55-2.73
S 0.0054 0.2500 0.9382 [4 per cell]  1 Hf 2.73, 4 La 2.89-2.93
S 0.0707 0.5336 0.6776 [8 per cell]  2 Hf 2.56-2.72
S 0.1923 0.2500 0.3663 [4 per cell]  1 Hf 2.59
S 0.2064 0.7500 0.3455 [4 per cell]  1 Hf 2.55

3.
First-principles (r2SCAN) data for an optimized crystal structure of Sc2IrPd, as listed in Materials Project.

Computed properties:
Volume in Å³/f.u.: 69.0
ΔE_f in eV per atom: -1.047
Total DFT energy (no corrections) in eV per cell: -409.2

Lattice parameters (Å, degrees): 6.5103 6.5103 6.5103 90.00 90.00 90.00
Last column: nearest neighbours and their distance in Å.
Space group Fm-3m (No. 225)
Asymmetric unit:
Sc 0.2500 0.2500 0.2500 [8 per cell]  4 Ir 2.82, 4 Pd 2.82
Ir 0.0000 0.0000 0.0000 [4 per cell]  8 Sc 2.82
Pd 0.0000 0.0000 0.5000 [4 per cell]  8 Sc 2.82

4.
First-principles (r2SCAN) data for an optimized crystal structure of CaH2F4, as listed in Materials Project.

Computed properties:
Volume in Å³/f.u.: 73.7
ΔE_f in eV per atom: -2.780
Total DFT energy (no corrections) in eV per cell: -367.3

Lattice parameters (Å, degrees): 5.5555 10.0765 10.5316 90.00 90.00 90.00
Last column: nearest neighbours and their distance in Å.
Space group Fddd (No. 70, origin choice 2)
Asymmetric unit:
Ca 0.1250 0.1250 0.1250 [8 per cell]  8 F 2.34-2.36
H 0.1250 0.1250 0.5057 [16 per cell]  2 F 1.14
F 0.0367 0.3057 0.9930 [32 per cell]  1 H 1.14

5.
First-principles (r2SCAN) data for an optimized crystal structure of SrH2O2, as listed in Materials Project.

Computed properties:
Volume in Å³/f.u.: 57.8
ΔE_f in eV per atom: -1.968
Total DFT energy (no corrections) in eV per cell: -175.4

Lattice parameters (Å, degrees): 9.8384 3.9130 6.0106 90.00 90.00 90.00
Last column: nearest neighbours and their distance in Å.
Space group Pnma (No. 62)
Asymmetric unit:
Sr 0.1595 0.2500 0.1024 [4 per cell]  2 H 2.49-2.79, 7 O 2.53-2.73
H 0.0265 0.7500 0.3713 [4 per cell]  1 O 0.97
H 0.0921 0.7500 0.6849 [4 per cell]  1 O 0.98
O 0.1063 0.7500 0.8457 [4 per cell]  1 H 0.98
O 0.1248 0.7500 0.3731 [4 per cell]  1 H 0.97

6.
First-principles (r2SCAN) data for an optimized crystal structure of Lu3Al2, as listed in Materials Project.

Computed properties:
Volume in Å³/f.u.: 118.8
ΔE_f in eV per atom: -0.378
Total DFT energy (no corrections) in eV per cell: -518.4

Lattice parameters (Å, degrees): 7.9971 7.9971 7.4328 90.00 90.00 90.00
Last column: nearest neighbours and their distance in Å.
Space group P4_2/mnm (No. 136)
Asymmetric unit:
Lu 0.0000 0.5000 0.2500 [4 per cell]  4 Al 3.21, 8 Lu 3.43-3.56
Lu 0.1517 0.1517 0.0000 [4 per cell]  6 Al 2.98-3.13
Lu 0.2021 0.2021 0.5000 [4 per cell]  6 Al 3.02-3.04
Al 0.1192 0.8808 0.3010 [8 per cell]  2 Al 2.70-2.96, 2 Lu 2.98-3.02

7.
First-principles (r2SCAN) data for an optimized crystal structure of NaNiF3, as listed in Materials Project.

Computed properties:
Volume in Å³/f.u.: 55.6
ΔE_f in eV per atom: -2.558
Total DFT energy (no corrections) in eV per cell: -150.9

Lattice parameters (Å, degrees): 5.5238 7.6096 5.2955 90.00 90.00 90.00
Last column: nearest neighbours and their distance in Å.
Space group Pnma (No. 62)
Asymmetric unit:
Na 0.0649 0.2500 0.0176 [4 per cell]  6 F 2.24-2.50
Ni 0.0000 0.0000 0.5000 [4 per cell]  6 F 2.00
F 0.0380 0.7500 0.3912 [4 per cell]  2 Ni 2.00, 1 Na 2.24
F 0.1981 0.5563 0.8066 [8 per cell]  2 Ni 2.00

8.
First-principles (r2SCAN) data for an optimized crystal structure of IrRh3, as listed in Materials Project.

Computed properties:
Volume in Å³/f.u.: 55.5
ΔE_f in eV per atom: -0.019
Total DFT energy (no corrections) in eV per cell: -249.7

Lattice parameters (Å, degrees): 3.8136 3.8136 7.6390 90.00 90.00 90.00
Last column: nearest neighbours and their distance in Å.
Space group I4/mmm (No. 139)
Asymmetric unit:
Ir 0.0000 0.0000 0.0000 [2 per cell]  12 Rh 2.70
Rh 0.0000 0.0000 0.5000 [2 per cell]  4 Ir 2.70, 8 Rh 2.70
Rh 0.0000 0.5000 0.2500 [4 per cell]  8 Rh 2.70, 4 Ir 2.70